Record 1
{"formula": "MnP4", "functional": "GGA-PBE", "state": "relaxed", "dft_energy_ha_per_atom": -0.2397, "delta_e_f_kj_per_mol_fu": -174, "density_g_cm3": 4.08, "lattice_angstrom": [[1.174, -5.674, 0.765], [2.725, -3.659, -3.652], [19.703, 3.613, 8.565]], "species": ["Mn", "Mn", "Mn", "Mn", "Mn", "Mn", "Mn", "Mn", "P", "P", "P", "P", "P", "P", "P", "P", "P", "P", "P", "P", "P", "P", "P", "P", "P", "P", "P", "P", "P", "P", "P", "P", "P", "P", "P", "P", "P", "P", "P", "P"], "frac_coords": [[0.883, 0.486, 0.182], [0.808, 0.043, 0.430], [0.957, 0.192, 0.070], [0.514, 0.117, 0.318], [0.043, 0.808, 0.930], [0.486, 0.883, 0.682], [0.192, 0.957, 0.570], [0.117, 0.514, 0.818], [0.007, 0.044, 0.170], [0.965, 0.587, 0.451], [0.572, 0.363, 0.800], [0.637, 0.428, 0.700], [0.413, 0.035, 0.049], [0.659, 0.499, 0.426], [0.178, 0.362, 0.916], [0.754, 0.094, 0.537], [0.051, 0.293, 0.284], [0.499, 0.659, 0.926], [0.044, 0.007, 0.670], [0.330, 0.349, 0.169], [0.670, 0.651, 0.831], [0.349, 0.330, 0.669], [0.993, 0.956, 0.830], [0.363, 0.572, 0.300], [0.638, 0.822, 0.584], [0.651, 0.670, 0.331], [0.094, 0.754, 0.037], [0.246, 0.906, 0.463], [0.707, 0.949, 0.216], [0.293, 0.051, 0.784], [0.949, 0.707, 0.716], [0.822, 0.638, 0.084], [0.956, 0.993, 0.330], [0.428, 0.637, 0.200], [0.362, 0.178, 0.416], [0.341, 0.501, 0.574], [0.906, 0.246, 0.963], [0.587, 0.965, 0.951], [0.035, 0.413, 0.549], [0.501, 0.341, 0.074]]}

Record 2
{"formula": "NiRuBr2", "functional": "GGA-PBE", "state": "relaxed", "dft_energy_ha_per_atom": -0.1390, "magnetic_moment_mub_per_cell": 0.00, "delta_e_f_kj_per_mol_fu": 205, "density_g_cm3": 7.98, "lattice_angstrom": [[4.071, -1.241, -1.605], [1.951, -3.837, 1.470], [0.353, -3.582, -2.780]], "species": ["Ni", "Ru", "Br", "Br"], "frac_coords": [[0.000, 0.000, 0.000], [0.500, 0.500, 0.500], [0.250, 0.250, 0.250], [0.750, 0.750, 0.750]]}

Record 3
{"formula": "KRb2ScI6", "functional": "GGA-PBE", "state": "relaxed", "dft_energy_ha_per_atom": -0.1182, "magnetic_moment_mub_per_cell": 0.00, "delta_e_f_kj_per_mol_fu": -1533, "density_g_cm3": 3.45, "lattice_angstrom": [[6.189, -6.101, 1.623], [-0.311, -4.737, 7.459], [-2.073, -8.589, -0.301]], "species": ["K", "Rb", "Rb", "Sc", "I", "I", "I", "I", "I", "I"], "frac_coords": [[0.500, 0.500, 0.500], [0.750, 0.750, 0.750], [0.250, 0.250, 0.250], [0.000, 0.000, 0.000], [0.769, 0.231, 0.231], [0.231, 0.231, 0.769], [0.231, 0.769, 0.769], [0.231, 0.769, 0.231], [0.769, 0.231, 0.769], [0.769, 0.769, 0.231]]}

Record 4
{"formula": "Na2H10SO5", "functional": "GGA-PBE", "state": "relaxed", "dft_energy_ha_per_atom": -0.1723, "delta_e_f_kj_per_mol_fu": -2209, "density_g_cm3": 1.56, "lattice_angstrom": [[3.242, -6.318, 0.000], [3.242, 6.318, 0.000], [0.000, 0.000, 8.710]], "species": ["Na", "Na", "Na", "Na", "H", "H", "H", "H", "H", "H", "H", "H", "H", "H", "H", "H", "H", "H", "H", "H", "H", "H", "H", "H", "S", "S", "O", "O", "O", "O", "O", "O", "O", "O", "O", "O"], "frac_coords": [[0.000, 0.000, 0.000], [0.543, 0.457, 0.750], [0.457, 0.543, 0.250], [0.000, 0.000, 0.500], [0.627, 0.995, 0.379], [0.819, 0.521, 0.021], [0.521, 0.819, 0.979], [0.181, 0.479, 0.521], [0.181, 0.479, 0.979], [0.479, 0.181, 0.021], [0.819, 0.521, 0.479], [0.521, 0.819, 0.521], [0.995, 0.627, 0.879], [0.627, 0.995, 0.121], [0.005, 0.373, 0.379], [0.373, 0.005, 0.621], [0.005, 0.373, 0.121], [0.373, 0.005, 0.879], [0.739, 0.015, 0.750], [0.995, 0.627, 0.621], [0.261, 0.985, 0.250], [0.985, 0.261, 0.750], [0.015, 0.739, 0.250], [0.479, 0.181, 0.479], [0.690, 0.310, 0.250], [0.310, 0.690, 0.750], [0.861, 0.616, 0.926], [0.616, 0.861, 0.074], [0.139, 0.384, 0.426], [0.384, 0.139, 0.574], [0.139, 0.384, 0.074], [0.384, 0.139, 0.926], [0.861, 0.616, 0.574], [0.616, 0.861, 0.426], [0.908, 0.092, 0.750], [0.092, 0.908, 0.250]]}

Record 5
{"formula": "SrNbO3", "functional": "GGA-PBE", "state": "relaxed", "dft_energy_ha_per_atom": -0.2974, "delta_e_f_kj_per_mol_fu": -1534, "density_g_cm3": 5.58, "lattice_angstrom": [[5.754, 0.000, 0.000], [0.000, 5.741, 0.000], [0.000, 0.000, 8.229]], "species": ["Sr", "Sr", "Sr", "Sr", "Nb", "Nb", "Nb", "Nb", "O", "O", "O", "O", "O", "O", "O", "O", "O", "O", "O", "O"], "frac_coords": [[0.000, 0.000, 0.999], [0.000, 0.000, 0.497], [0.500, 0.500, 0.503], [0.500, 0.500, 0.001], [0.500, 0.000, 0.250], [0.500, 0.000, 0.750], [0.000, 0.500, 0.250], [0.000, 0.500, 0.750], [0.281, 0.282, 0.250], [0.500, 0.000, 0.500], [0.718, 0.718, 0.750], [0.781, 0.218, 0.750], [0.000, 0.500, 0.000], [0.000, 0.500, 0.500], [0.218, 0.782, 0.250], [0.282, 0.282, 0.750], [0.500, 0.000, 0.000], [0.719, 0.718, 0.250], [0.782, 0.218, 0.250], [0.219, 0.782, 0.750]]}

Record 6
{"formula": "Li22V7Sn7", "functional": "GGA-PBE", "state": "relaxed", "dft_energy_ha_per_atom": -0.1350, "magnetic_moment_mub_per_cell": 22.83, "delta_e_f_kj_per_mol_fu": 137, "density_g_cm3": 3.45, "lattice_angstrom": [[0.022, 4.642, 0.080], [-2.189, -2.252, -3.419], [-29.080, -0.187, 18.746]], "species": ["Li", "Li", "Li", "Li", "Li", "Li", "Li", "Li", "Li", "Li", "Li", "Li", "Li", "Li", "Li", "Li", "Li", "Li", "Li", "Li", "Li", "Li", "V", "V", "V", "V", "V", "V", "V", "Sn", "Sn", "Sn", "Sn", "Sn", "Sn", "Sn"], "frac_coords": [[0.333, 0.667, 0.525], [0.333, 0.667, 0.025], [0.667, 0.333, 0.975], [0.667, 0.333, 0.476], [0.000, 0.000, 0.668], [0.000, 0.000, 0.168], [0.000, 0.000, 0.832], [0.000, 0.000, 0.332], [0.333, 0.667, 0.858], [0.333, 0.667, 0.358], [0.667, 0.333, 0.640], [0.667, 0.333, 0.142], [0.000, 0.000, 0.749], [0.000, 0.000, 0.250], [0.333, 0.667, 0.944], [0.333, 0.667, 0.445], [0.667, 0.333, 0.558], [0.667, 0.333, 0.056], [0.000, 0.000, 0.583], [0.000, 0.000, 0.082], [0.000, 0.000, 0.917], [0.000, 0.000, 0.418], [0.333, 0.667, 0.776], [0.333, 0.667, 0.274], [0.667, 0.333, 0.726], [0.667, 0.333, 0.226], [0.333, 0.667, 0.111], [0.667, 0.333, 0.889], [0.667, 0.333, 0.388], [0.000, 0.000, 0.000], [0.000, 0.000, 0.500], [0.333, 0.667, 0.696], [0.333, 0.667, 0.194], [0.667, 0.333, 0.806], [0.667, 0.333, 0.306], [0.333, 0.667, 0.607]]}

Record 7
{"formula": "Ho3Er", "functional": "GGA-PBE", "state": "relaxed", "de_polymorph_mev_per_atom": 17.8, "dft_energy_ha_per_atom": -0.1672, "delta_e_f_kj_per_mol_fu": 11, "density_g_cm3": 8.95, "lattice_angstrom": [[-1.992, 4.545, 0.295], [-3.898, -1.868, 2.456], [2.356, 0.753, 4.312]], "species": ["Ho", "Ho", "Ho", "Er"], "frac_coords": [[0.500, 0.500, 0.000], [0.000, 0.500, 0.500], [0.500, 0.000, 0.500], [0.000, 0.000, 0.000]]}

Record 8
{"formula": "AgSbTe2", "functional": "GGA-PBE", "state": "relaxed", "dft_energy_ha_per_atom": -0.1233, "magnetic_moment_mub_per_cell": 0.00, "delta_e_f_kj_per_mol_fu": -98, "density_g_cm3": 7.02, "lattice_angstrom": [[-1.222, 4.154, 0.403], [-1.856, -0.917, 3.825], [5.209, 1.259, 2.830]], "species": ["Ag", "Sb", "Te", "Te"], "frac_coords": [[0.500, 0.500, 0.000], [0.000, 0.000, 0.500], [0.500, 0.500, 0.500], [0.000, 0.000, 0.000]]}

Record 9
{"formula": "HoGaCo", "functional": "GGA-PBE", "state": "relaxed", "dft_energy_ha_per_atom": -0.1989, "delta_e_f_kj_per_mol_fu": -146, "density_g_cm3": 9.23, "lattice_angstrom": [[-3.910, 1.752, 1.044], [-2.046, -6.063, 2.512], [2.468, 1.767, 6.275]], "species": ["Ho", "Ho", "Ho", "Ho", "Ga", "Ga", "Ga", "Ga", "Co", "Co", "Co", "Co"], "frac_coords": [[0.250, 0.304, 0.521], [0.250, 0.196, 0.021], [0.750, 0.696, 0.479], [0.750, 0.804, 0.979], [0.250, 0.895, 0.695], [0.250, 0.605, 0.195], [0.750, 0.105, 0.305], [0.750, 0.395, 0.805], [0.250, 0.937, 0.342], [0.250, 0.563, 0.842], [0.750, 0.063, 0.658], [0.750, 0.437, 0.158]]}

Record 10
{"formula": "Zr4Sn3", "functional": "GGA-PBE", "state": "relaxed", "de_polymorph_mev_per_atom": 0.0, "dft_energy_ha_per_atom": -0.2549, "magnetic_moment_mub_per_cell": 0.09, "delta_e_f_kj_per_mol_fu": -225, "density_g_cm3": 7.43, "lattice_angstrom": [[0.129, 5.554, -6.266], [-2.606, 2.332, 7.610], [4.967, 1.340, 1.290]], "species": ["Zr", "Zr", "Zr", "Zr", "Zr", "Zr", "Zr", "Zr", "Sn", "Sn", "Sn", "Sn", "Sn", "Sn"], "frac_coords": [[0.023, 0.787, 0.750], [0.667, 0.333, 0.250], [0.333, 0.667, 0.750], [0.977, 0.213, 0.250], [0.764, 0.977, 0.750], [0.213, 0.236, 0.750], [0.787, 0.764, 0.250], [0.236, 0.023, 0.250], [0.452, 0.075, 0.750], [0.075, 0.623, 0.250], [0.925, 0.377, 0.750], [0.548, 0.925, 0.250], [0.377, 0.452, 0.250], [0.623, 0.548, 0.750]]}

Record 11
{"formula": "Ho2MgS4", "functional": "GGA-PBE", "state": "relaxed", "de_polymorph_mev_per_atom": 67.1, "dft_energy_ha_per_atom": -0.2103, "magnetic_moment_mub_per_cell": 0.00, "delta_e_f_kj_per_mol_fu": -1423, "density_g_cm3": 5.03, "lattice_angstrom": [[12.561, 0.000, 0.000], [0.000, 3.824, 0.000], [0.000, 0.000, 13.260]], "species": ["Ho", "Ho", "Ho", "Ho", "Ho", "Ho", "Ho", "Ho", "Mg", "Mg", "Mg", "Mg", "S", "S", "S", "S", "S", "S", "S", "S", "S", "S", "S", "S", "S", "S", "S", "S"], "frac_coords": [[0.115, 0.250, 0.078], [0.885, 0.750, 0.922], [0.385, 0.750, 0.578], [0.615, 0.250, 0.422], [0.142, 0.250, 0.704], [0.858, 0.750, 0.296], [0.358, 0.750, 0.204], [0.642, 0.250, 0.796], [0.117, 0.750, 0.441], [0.883, 0.250, 0.559], [0.383, 0.250, 0.941], [0.617, 0.750, 0.059], [0.015, 0.750, 0.613], [0.985, 0.250, 0.387], [0.485, 0.250, 0.113], [0.515, 0.750, 0.887], [0.030, 0.250, 0.883], [0.970, 0.750, 0.117], [0.470, 0.750, 0.383], [0.530, 0.250, 0.617], [0.221, 0.250, 0.255], [0.779, 0.750, 0.745], [0.279, 0.750, 0.755], [0.721, 0.250, 0.245], [0.258, 0.750, 0.017], [0.742, 0.250, 0.983], [0.242, 0.250, 0.517], [0.758, 0.750, 0.483]]}

Record 12
{"formula": "Ca3Al2SO8F8", "functional": "GGA-PBE", "state": "relaxed", "dft_energy_ha_per_atom": -0.2096, "magnetic_moment_mub_per_cell": 8.00, "delta_e_f_kj_per_mol_fu": -5822, "density_g_cm3": 2.57, "lattice_angstrom": [[4.324, 7.015, 0.000], [-4.324, 7.015, 0.000], [0.000, 0.370, 10.346]], "species": ["Ca", "Ca", "Ca", "Ca", "Ca", "Ca", "Al", "Al", "Al", "Al", "S", "S", "O", "O", "O", "O", "O", "O", "O", "O", "O", "O", "O", "O", "O", "O", "O", "O", "F", "F", "F", "F", "F", "F", "F", "F", "F", "F", "F", "F", "F", "F", "F", "F"], "frac_coords": [[0.028, 0.479, 0.300], [0.521, 0.972, 0.200], [0.972, 0.521, 0.700], [0.479, 0.028, 0.800], [0.008, 0.992, 0.750], [0.992, 0.008, 0.250], [0.271, 0.116, 0.490], [0.884, 0.729, 0.010], [0.729, 0.884, 0.510], [0.116, 0.271, 0.990], [0.637, 0.363, 0.750], [0.363, 0.637, 0.250], [0.178, 0.670, 0.306], [0.330, 0.822, 0.194], [0.822, 0.330, 0.694], [0.670, 0.178, 0.806], [0.501, 0.417, 0.647], [0.583, 0.499, 0.853], [0.499, 0.583, 0.353], [0.417, 0.501, 0.147], [0.503, 0.085, 0.535], [0.915, 0.497, 0.965], [0.497, 0.915, 0.465], [0.085, 0.503, 0.035], [0.203, 0.646, 0.663], [0.354, 0.797, 0.837], [0.797, 0.354, 0.337], [0.646, 0.203, 0.163], [0.759, 0.957, 0.346], [0.043, 0.241, 0.154], [0.241, 0.043, 0.654], [0.957, 0.759, 0.846], [0.883, 0.952, 0.572], [0.048, 0.117, 0.928], [0.117, 0.048, 0.428], [0.952, 0.883, 0.072], [0.872, 0.654, 0.475], [0.346, 0.128, 0.025], [0.128, 0.346, 0.525], [0.654, 0.872, 0.975], [0.202, 0.299, 0.825], [0.701, 0.798, 0.675], [0.798, 0.701, 0.175], [0.299, 0.202, 0.325]]}